# LaHSe3O10, optimized geometry, DFT PBE
data_LaHSe3O10
_cell_length_a 7.425
_cell_length_b 10.980
_cell_length_c 23.911
_cell_angle_alpha 90.00
_cell_angle_beta 90.00
_cell_angle_gamma 90.00
_symmetry_space_group_name_H-M 'P b c a'
_symmetry_Int_Tables_number 61
_symmetry_space_group_name_Hall '-P 2ac 2ab'
loop_
_atom_site_label
_atom_site_type_symbol
_atom_site_fract_x
_atom_site_fract_y
_atom_site_fract_z
_atom_site_occupancy
La1 La 0.061 0.038 0.091 1
H1 H 0.182 0.156 0.291 1
Se1 Se 0.037 0.707 0.143 1
Se2 Se 0.063 0.619 0.881 1
Se3 Se 0.195 0.176 0.506 1
O1 O 0.067 0.199 0.287 1
O2 O 0.100 0.645 0.646 1
O3 O 0.106 0.598 0.506 1
O4 O 0.107 0.075 0.564 1
O5 O 0.111 0.525 0.287 1
O6 O 0.114 0.736 0.398 1
O7 O 0.198 0.061 0.768 1
O8 O 0.226 0.625 0.157 1
O9 O 0.240 0.534 0.902 1
O10 O 0.248 0.195 0.040 1
# - DFT formation energy: -1643.8 meV per atom

# LaHSe2O7, optimized geometry, DFT PBE
data_LaHSe2O7
_cell_length_a 8.858
_cell_length_b 7.489
_cell_length_c 9.748
_cell_angle_alpha 90.00
_cell_angle_beta 103.82
_cell_angle_gamma 90.00
_symmetry_space_group_name_H-M 'P 1 21 1'
_symmetry_Int_Tables_number 4
_symmetry_space_group_name_Hall 'P 2yb'
loop_
_atom_site_label
_atom_site_type_symbol
_atom_site_fract_x
_atom_site_fract_y
_atom_site_fract_z
_atom_site_occupancy
La1 La 0.227 0.000 0.210 1
La2 La 0.230 0.325 0.772 1
H1 H 0.255 0.667 0.514 1
H2 H 0.445 0.969 0.719 1
Se1 Se 0.018 0.934 0.521 1
Se2 Se 0.062 0.496 0.101 1
Se3 Se 0.443 0.794 0.907 1
Se4 Se 0.490 0.662 0.454 1
O1 O 0.045 0.950 0.347 1
O2 O 0.071 0.456 0.932 1
O3 O 0.092 0.311 0.196 1
O4 O 0.107 0.124 0.603 1
O5 O 0.126 0.061 0.925 1
O6 O 0.176 0.490 0.535 1
O7 O 0.183 0.658 0.173 1
O8 O 0.317 0.649 0.822 1
O9 O 0.327 0.771 0.499 1
O10 O 0.372 0.247 0.080 1
O11 O 0.373 0.185 0.393 1
O12 O 0.408 0.995 0.805 1
O13 O 0.428 0.859 0.065 1
O14 O 0.474 0.325 0.656 1
# - DFT formation energy: -1862.3 meV per atom

# Li2MgH4, optimized geometry, DFT PBE
data_Li2MgH4
_cell_length_a 4.924
_cell_length_b 9.301
_cell_length_c 2.925
_cell_angle_alpha 90.00
_cell_angle_beta 90.00
_cell_angle_gamma 90.00
_symmetry_space_group_name_H-M 'P b a m'
_symmetry_Int_Tables_number 55
_symmetry_space_group_name_Hall '-P 2 2ab'
loop_
_atom_site_label
_atom_site_type_symbol
_atom_site_fract_x
_atom_site_fract_y
_atom_site_fract_z
_atom_site_occupancy
Li1 Li 0.018 0.211 0.000 1
Mg1 Mg 0.000 0.500 0.500 1
H1 H 0.206 0.413 0.000 1
H2 H 0.218 0.677 0.500 1
# - DFT formation energy: -390.3 meV per atom

# Li2MgH2N2, optimized geometry, DFT PBE
data_Li2MgH2N2
_cell_length_a 5.137
_cell_length_b 9.768
_cell_length_c 5.236
_cell_angle_alpha 90.00
_cell_angle_beta 90.00
_cell_angle_gamma 90.00
_symmetry_space_group_name_H-M 'P b c n'
_symmetry_Int_Tables_number 60
_symmetry_space_group_name_Hall '-P 2n 2ab'
loop_
_atom_site_label
_atom_site_type_symbol
_atom_site_fract_x
_atom_site_fract_y
_atom_site_fract_z
_atom_site_occupancy
Li1 Li 0.000 0.012 0.250 1
Li2 Li 0.000 0.254 0.250 1
Mg1 Mg 0.000 0.261 0.750 1
H1 H 0.167 0.443 0.050 1
N1 N 0.228 0.143 0.497 1
# - DFT formation energy: -689.3 meV per atom

# Li4MgH3N3, optimized geometry, DFT PBE
data_Li4MgH3N3
_cell_length_a 3.689
_cell_length_b 10.704
_cell_length_c 4.804
_cell_angle_alpha 90.00
_cell_angle_beta 90.00
_cell_angle_gamma 90.00
_symmetry_space_group_name_H-M 'I m m 2'
_symmetry_Int_Tables_number 44
_symmetry_space_group_name_Hall 'I 2 -2'
loop_
_atom_site_label
_atom_site_type_symbol
_atom_site_fract_x
_atom_site_fract_y
_atom_site_fract_z
_atom_site_occupancy
Li1 Li 0.000 0.172 0.000 1
Li2 Li 0.000 0.181 0.500 1
Mg1 Mg 0.000 0.500 0.524 1
H1 H 0.000 0.000 0.440 1
H2 H 0.000 0.393 0.096 1
N1 N 0.000 0.000 0.226 1
N2 N 0.000 0.333 0.264 1
# - DFT formation energy: -652.5 meV per atom

# LiH2N, optimized geometry, DFT PBE
data_LiH2N
_cell_length_a 3.650
_cell_length_b 5.455
_cell_length_c 6.236
_cell_angle_alpha 90.00
_cell_angle_beta 90.00
_cell_angle_gamma 90.00
_symmetry_space_group_name_H-M 'P 21 21 21'
_symmetry_Int_Tables_number 19
_symmetry_space_group_name_Hall 'P 2ac 2ab'
loop_
_atom_site_label
_atom_site_type_symbol
_atom_site_fract_x
_atom_site_fract_y
_atom_site_fract_z
_atom_site_occupancy
Li1 Li 0.013 0.209 0.126 1
H1 H 0.020 0.007 0.767 1
H2 H 0.065 0.648 0.956 1
N1 N 0.019 0.476 0.894 1
# - DFT formation energy: -536.8 meV per atom

# Li2HN, optimized geometry, DFT PBE
data_Li2HN
_cell_length_a 7.839
_cell_length_b 3.600
_cell_length_c 4.917
_cell_angle_alpha 90.00
_cell_angle_beta 90.00
_cell_angle_gamma 90.00
_symmetry_space_group_name_H-M 'P n m a'
_symmetry_Int_Tables_number 62
_symmetry_space_group_name_Hall '-P 2ac 2n'
loop_
_atom_site_label
_atom_site_type_symbol
_atom_site_fract_x
_atom_site_fract_y
_atom_site_fract_z
_atom_site_occupancy
Li1 Li 0.102 0.250 0.036 1
Li2 Li 0.202 0.250 0.590 1
H1 H 0.078 0.750 0.607 1
N1 N 0.148 0.750 0.786 1
# - DFT formation energy: -583.6 meV per atom

# Li2HN, optimized geometry, DFT PBE
data_Li2HN
_cell_length_a 3.546
_cell_length_b 5.415
_cell_length_c 3.455
_cell_angle_alpha 90.00
_cell_angle_beta 90.00
_cell_angle_gamma 90.00
_symmetry_space_group_name_H-M 'I m m 2'
_symmetry_Int_Tables_number 44
_symmetry_space_group_name_Hall 'I 2 -2'
loop_
_atom_site_label
_atom_site_type_symbol
_atom_site_fract_x
_atom_site_fract_y
_atom_site_fract_z
_atom_site_occupancy
Li1 Li 0.000 0.216 0.000 1
H1 H 0.000 0.500 0.715 1
N1 N 0.000 0.500 0.416 1
# - Maximum piezoelectric response: 0.52 C/m²
# - DFT formation energy: -519.1 meV per atom

Q: The lowest DFT formation energy belongs to which entry?
A: LaHSe2O7

Q: Which of these has the highest DFT formation energy?
A: Li2MgH4